Version a
The following is a PBE calculation of an optimized crystal structure of Li3Sb2P3O12, from Materials Project.

POSCAR file:
```
Li3Sb2P3O12
1.0
7.523 -4.637 0.000
7.523 4.637 0.000
-4.760 0.000 7.732
Li Sb P O
6 4 6 24
Direct
0.117 0.883 0.750
0.180 0.462 0.714
0.462 0.180 0.214
0.538 0.820 0.786
0.820 0.538 0.286
0.883 0.117 0.250
0.146 0.658 0.356
0.342 0.854 0.144
0.658 0.146 0.856
0.854 0.342 0.644
0.048 0.246 0.073
0.246 0.048 0.573
0.417 0.583 0.750
0.583 0.417 0.250
0.754 0.952 0.427
0.952 0.754 0.927
0.012 0.755 0.114
0.038 0.437 0.207
0.075 0.816 0.902
0.118 0.245 0.617
0.184 0.925 0.598
0.228 0.599 0.604
0.245 0.118 0.117
0.245 0.988 0.386
0.401 0.772 0.896
0.436 0.439 0.311
0.437 0.038 0.707
0.439 0.436 0.811
0.561 0.564 0.189
0.563 0.962 0.293
0.564 0.561 0.689
0.599 0.228 0.104
0.755 0.012 0.614
0.755 0.882 0.883
0.772 0.401 0.396
0.816 0.075 0.402
0.882 0.755 0.383
0.925 0.184 0.098
0.962 0.563 0.793
0.988 0.245 0.886
```

---

Version b
The following is a PBE calculation of an optimized crystal structure of Li3Sb2P3O12, from Materials Project.

POSCAR file:
```
Li3Sb2P3O12
1.0
4.287 -2.841 0.000
4.287 2.841 0.000
-0.044 0.000 20.095
Li Sb P O
6 4 6 24
Direct
0.001 0.001 0.337
0.337 0.337 0.260
0.339 0.339 0.593
0.661 0.661 0.407
0.663 0.663 0.740
0.999 0.999 0.663
0.000 0.000 0.000
0.000 0.000 0.500
0.009 0.009 0.825
0.991 0.991 0.175
0.354 0.354 0.415
0.354 0.354 0.742
0.356 0.356 0.090
0.644 0.644 0.910
0.646 0.646 0.258
0.646 0.646 0.585
0.236 0.690 0.086
0.247 0.247 0.355
0.248 0.689 0.415
0.250 0.250 0.028
0.250 0.688 0.744
0.251 0.251 0.681
0.253 0.253 0.806
0.264 0.264 0.483
0.275 0.275 0.158
0.310 0.764 0.914
0.311 0.752 0.585
0.312 0.750 0.256
0.688 0.250 0.744
0.689 0.248 0.415
0.690 0.236 0.086
0.725 0.725 0.842
0.736 0.736 0.517
0.747 0.747 0.194
0.749 0.749 0.319
0.750 0.312 0.256
0.750 0.750 0.972
0.752 0.311 0.585
0.753 0.753 0.645
0.764 0.310 0.914
```

---

Energetically preferred structure: version a | next structure: +0.029 eV/atom